A relaxed structure of Ta9V2O25. Source: the Materials Project database, functional GGA+U.

**Crystal system**: tetragonal
**Mass density**: 6999 kg/m3
**Space-group type**: I4/m, No. 87
**ΔH_f (0 K)**: -3.021 eV per atom
**Spin magnetization**: 2.998 μB per cell

abc: 11.4364 11.4364 11.4364
angles: 91.74 91.74 159.93
With the nearest neighbours (Å) after each atom.
Positions (direct):
Ta (0.0000, 0.0000, 0.0000)  6 O 1.99-2.02
Ta (0.2225, 0.9011, 0.1236)  5 O 1.86-2.05
Ta (0.7775, 0.0989, 0.8764)  5 O 1.86-2.05
Ta (0.9011, 0.7775, 0.6786)  5 O 1.86-2.05
Ta (0.0989, 0.2225, 0.3214)  5 O 1.86-2.05
Ta (0.1253, 0.6801, 0.8053)  5 O 1.87-2.05
Ta (0.8747, 0.3199, 0.1947)  5 O 1.87-2.05
Ta (0.6801, 0.8747, 0.5548)  5 O 1.87-2.05
Ta (0.3199, 0.1253, 0.4452)  5 O 1.87-2.05
V (0.7500, 0.2500, 0.5000)  4 O 1.92, 2 V 1.99
V (0.2500, 0.7500, 0.5000)  4 O 1.92, 2 V 1.99
O (0.3499, 0.8378, 0.1877)  3 Ta 2.05-2.27
O (0.6501, 0.1622, 0.8123)  3 Ta 2.05-2.27
O (0.8378, 0.6501, 0.4878)  3 Ta 2.05-2.27
O (0.1622, 0.3499, 0.5122)  3 Ta 2.05-2.27
O (0.2508, 0.6121, 0.8629)  3 Ta 2.05-2.27
O (0.7492, 0.3879, 0.1371)  3 Ta 2.05-2.27
O (0.6121, 0.7492, 0.3614)  3 Ta 2.05-2.27
O (0.3879, 0.2508, 0.6386)  3 Ta 2.05-2.27
O (0.1782, 0.7873, 0.9655)  2 Ta 1.90-1.94
O (0.8218, 0.2127, 0.0345)  2 Ta 1.90-1.94
O (0.7873, 0.8218, 0.6090)  2 Ta 1.90-1.94
O (0.2127, 0.1782, 0.3910)  2 Ta 1.90-1.94
O (0.0841, 0.5601, 0.6442)  2 V 1.92, 1 Ta 2.02
O (0.9159, 0.4399, 0.3558)  2 V 1.92, 1 Ta 2.02
O (0.5601, 0.9159, 0.4760)  2 V 1.92, 1 Ta 2.02
O (0.4399, 0.0841, 0.5240)  2 V 1.92, 1 Ta 2.02
O (0.5000, 0.5000, 0.0000)  2 Ta 1.99
O (0.1165, 0.9496, 0.0662)  2 Ta 1.86-2.02
O (0.8835, 0.0504, 0.9338)  2 Ta 1.86-2.02
O (0.9496, 0.8835, 0.8331)  2 Ta 1.86-2.02
O (0.0504, 0.1165, 0.1669)  2 Ta 1.86-2.02
O (0.0148, 0.7203, 0.7351)  2 Ta 1.87-2.03
O (0.9852, 0.2797, 0.2649)  2 Ta 1.87-2.03
O (0.7203, 0.9852, 0.7054)  2 Ta 1.87-2.03
O (0.2797, 0.0148, 0.2946)  2 Ta 1.87-2.03

A relaxed structure of TaVZn2O6. Source: the Materials Project database, functional GGA+U.

**Crystal system**: monoclinic
**Mass density**: 7027 kg/m3
**Space-group type**: P2_1/m, No. 11
**ΔH_f (0 K)**: -2.438 eV per atom
**Spin magnetization**: 4.000 μB per cell

abc: 7.6888 5.2735 5.3465
angles: 89.58 90.00 90.00
With the nearest neighbours (Å) after each atom.
Positions (direct):
Ta (0.0000, 0.0000, 0.5000)  6 O 1.97-2.06
Ta (0.5000, 0.0000, 0.5000)  6 O 1.97-2.06
V (0.0000, 0.5000, 0.0000)  6 O 2.05-2.07
V (0.5000, 0.5000, 0.0000)  6 O 2.05-2.07
Zn (0.7500, 0.0146, 0.0182)  3 O 2.02-2.03
Zn (0.7500, 0.5087, 0.5497)  4 O 2.07-2.10
Zn (0.2500, 0.4913, 0.4503)  4 O 2.07-2.10
Zn (0.2500, 0.9854, 0.9818)  3 O 2.02-2.03
O (0.4349, 0.1661, 0.1832)  1 Ta 1.97, 1 Zn 2.03, 1 V 2.07
O (0.5668, 0.6830, 0.3239)  1 Ta 1.99, 1 V 2.05, 1 Zn 2.07
O (0.5651, 0.8339, 0.8168)  1 Ta 1.97, 1 Zn 2.03, 1 V 2.07
O (0.0668, 0.3170, 0.6761)  1 Ta 1.99, 1 V 2.05, 1 Zn 2.07
O (0.2500, 0.8742, 0.5573)  2 Ta 2.06, 1 Zn 2.10
O (0.4332, 0.3170, 0.6761)  1 Ta 1.99, 1 V 2.05, 1 Zn 2.07
O (0.9332, 0.6830, 0.3239)  1 Ta 1.99, 1 V 2.05, 1 Zn 2.07
O (0.0651, 0.1661, 0.1832)  1 Ta 1.97, 1 Zn 2.03, 1 V 2.07
O (0.7500, 0.3860, 0.9242)  2 Zn 2.02-2.10, 2 V 2.06
O (0.9349, 0.8339, 0.8168)  1 Ta 1.97, 1 Zn 2.03, 1 V 2.07
O (0.2500, 0.6140, 0.0758)  2 Zn 2.02-2.10, 2 V 2.06
O (0.7500, 0.1258, 0.4427)  2 Ta 2.06, 1 Zn 2.10

A relaxed structure of Ta2VZn2O8. Source: the Materials Project database, functional GGA+U.

**Mass density**: 7204 kg/m3
**ΔH_f (0 K)**: -2.692 eV per atom
**Spin magnetization**: 0.000 μB per cell

abc: 5.3199 5.9543 19.5488
angles: 89.97 89.92 90.00
With the nearest neighbours (Å) after each atom.
Positions (direct):
Ta (0.7310, 0.1535, 0.1155)  5 O 1.85-2.03
Ta (0.7310, 0.6535, 0.6155)  5 O 1.85-2.03
Ta (0.7670, 0.6541, 0.3838)  5 O 1.85-2.03
Ta (0.7670, 0.1541, 0.8838)  5 O 1.85-2.03
Ta (0.2670, 0.3438, 0.3837)  5 O 1.85-2.03
Ta (0.2670, 0.8438, 0.8837)  5 O 1.85-2.03
Ta (0.2310, 0.8436, 0.1155)  5 O 1.85-2.03
Ta (0.2310, 0.3436, 0.6155)  5 O 1.85-2.03
V (0.7493, 0.6420, 0.9997)  6 O 2.14-2.23
V (0.2494, 0.8558, 0.4996)  6 O 2.14-2.23
V (0.7493, 0.1420, 0.4997)  6 O 2.14-2.23
V (0.2494, 0.3558, 0.9996)  6 O 2.14-2.23
Zn (0.7707, 0.1518, 0.2821)  4 O 1.96-2.13
Zn (0.7707, 0.6518, 0.7821)  4 O 1.96-2.13
Zn (0.7267, 0.6513, 0.2174)  4 O 1.96-2.13
Zn (0.7267, 0.1513, 0.7174)  4 O 1.96-2.13
Zn (0.2266, 0.3454, 0.2173)  4 O 1.96-2.13
Zn (0.2266, 0.8454, 0.7173)  4 O 1.96-2.13
Zn (0.2708, 0.8457, 0.2819)  4 O 1.96-2.13
Zn (0.2708, 0.3457, 0.7819)  4 O 1.96-2.13
O (0.0656, 0.1132, 0.0704)  2 Ta 2.00-2.03, 1 V 2.23
O (0.0656, 0.6132, 0.5704)  2 Ta 2.00-2.03, 1 V 2.23
O (0.4326, 0.6131, 0.4289)  2 Ta 2.00-2.03, 1 V 2.22
O (0.4326, 0.1131, 0.9289)  2 Ta 2.00-2.03, 1 V 2.22
O (0.9328, 0.3850, 0.4290)  2 Ta 2.00-2.03, 1 V 2.22
O (0.9328, 0.8850, 0.9290)  2 Ta 2.00-2.03, 1 V 2.22
O (0.5654, 0.8846, 0.0703)  2 Ta 2.00-2.03, 1 V 2.23
O (0.5654, 0.3846, 0.5703)  2 Ta 2.00-2.03, 1 V 2.23
O (0.5957, 0.3727, 0.0594)  1 Ta 1.85
O (0.5957, 0.8727, 0.5594)  1 Ta 1.85
O (0.9032, 0.8730, 0.4398)  1 Ta 1.85
O (0.9032, 0.3730, 0.9398)  1 Ta 1.85
O (0.4032, 0.1250, 0.4399)  1 Ta 1.85
O (0.4032, 0.6251, 0.9399)  1 Ta 1.85
O (0.0957, 0.6250, 0.0593)  1 Ta 1.85
O (0.0957, 0.1250, 0.5593)  1 Ta 1.85
O (0.4282, 0.1030, 0.1768)  1 Zn 1.96, 1 Ta 2.03
O (0.4282, 0.6030, 0.6768)  1 Zn 1.96, 1 Ta 2.03
O (0.0693, 0.6032, 0.3224)  1 Zn 1.96, 1 Ta 2.03
O (0.0693, 0.1032, 0.8224)  1 Zn 1.96, 1 Ta 2.03
O (0.9281, 0.8936, 0.1767)  1 Zn 1.96, 1 Ta 2.03
O (0.9281, 0.3936, 0.6767)  1 Zn 1.96, 1 Ta 2.03
O (0.5696, 0.3945, 0.3225)  1 Zn 1.96, 1 Ta 2.03
O (0.5696, 0.8945, 0.8225)  1 Zn 1.96, 1 Ta 2.03
O (0.3564, 0.6485, 0.1938)  3 Zn 1.99-2.13, 1 Ta 2.03
O (0.3564, 0.1485, 0.6938)  3 Zn 1.99-2.13, 1 Ta 2.03
O (0.1413, 0.1487, 0.3056)  3 Zn 1.99-2.13, 1 Ta 2.03
O (0.1413, 0.6487, 0.8056)  3 Zn 1.99-2.13, 1 Ta 2.03
O (0.6412, 0.8488, 0.3055)  3 Zn 1.98-2.13, 1 Ta 2.03
O (0.6412, 0.3488, 0.8055)  3 Zn 1.98-2.13, 1 Ta 2.03
O (0.8562, 0.3482, 0.1939)  3 Zn 1.99-2.13, 1 Ta 2.03
O (0.8562, 0.8482, 0.6939)  3 Zn 1.99-2.13, 1 Ta 2.03

A relaxed structure of Ta2WO8. Source: the Materials Project database, functional GGA+U.

**Crystal system**: monoclinic
**Mass density**: 7055 kg/m3
**Space-group type**: C2/c, No. 15
**ΔH_f (0 K)**: -2.637 eV per atom
**Spin magnetization**: 0.002 μB per cell

abc: 10.4575 10.4575 5.1723
angles: 88.41 88.41 34.12
With the nearest neighbours (Å) after each atom.
Positions (direct):
Ta (0.6899, 0.0443, 0.2452)  3 O 1.75-1.90
Ta (0.9557, 0.3101, 0.2548)  3 O 1.75-1.90
Ta (0.3101, 0.9557, 0.7548)  3 O 1.75-1.90
Ta (0.0443, 0.6899, 0.7452)  3 O 1.75-1.90
W (0.3449, 0.6551, 0.2500)  4 O 1.84-1.99
W (0.6551, 0.3449, 0.7500)  4 O 1.84-1.99
O (0.7846, 0.0999, 0.9206)  1 W 1.84
O (0.9001, 0.2154, 0.5794)  1 W 1.84
O (0.2154, 0.9001, 0.0794)  1 W 1.84
O (0.0999, 0.7846, 0.4206)  1 W 1.84
O (0.5623, 0.3344, 0.4311)  2 W 1.99-2.15
O (0.6656, 0.4377, 0.0689)  2 W 1.99-2.15
O (0.4377, 0.6656, 0.5689)  2 W 1.99-2.15
O (0.3344, 0.5623, 0.9311)  2 W 1.99-2.15
O (0.7583, 0.9158, 0.5758)  2 Ta 1.89-1.90
O (0.0842, 0.2417, 0.9242)  2 Ta 1.89-1.90
O (0.2030, 0.4269, 0.6463)  1 Ta 1.75
O (0.5731, 0.7970, 0.8537)  1 Ta 1.75
O (0.7970, 0.5731, 0.3537)  1 Ta 1.75
O (0.4269, 0.2030, 0.1463)  1 Ta 1.75
O (0.9158, 0.7583, 0.0758)  2 Ta 1.89-1.90
O (0.2417, 0.0842, 0.4242)  2 Ta 1.89-1.90

A relaxed structure of Ta2WO8. Source: the Materials Project database, functional GGA+U.

**Crystal system**: monoclinic
**Mass density**: 7504 kg/m3
**Space-group type**: Pc, No. 7
**ΔH_f (0 K)**: -2.918 eV per atom
**Spin magnetization**: 0.000 μB per cell

abc: 18.1184 3.8843 16.9464
angles: 89.97 90.00 90.00
With the nearest neighbours (Å) after each atom.
Positions (direct):
Ta (0.9047, 0.9991, 0.2505)  7 O 1.93-2.16
Ta (0.0953, 0.9991, 0.7505)  7 O 1.93-2.16
Ta (0.0524, 0.0010, 0.3695)  5 O 1.92-2.10
Ta (0.9476, 0.0010, 0.8695)  5 O 1.92-2.10
Ta (0.2229, 0.9822, 0.2518)  6 O 1.89-2.10
Ta (0.7771, 0.9822, 0.7518)  6 O 1.89-2.10
Ta (0.1559, 0.0064, 0.5589)  6 O 1.89-2.10
Ta (0.8441, 0.0064, 0.0589)  6 O 1.89-2.10
Ta (0.1533, 0.0067, 0.9391)  6 O 1.95-2.12
Ta (0.8467, 0.0067, 0.4391)  6 O 1.95-2.12
Ta (0.5497, 0.9994, 0.1322)  6 O 1.93-2.06
Ta (0.5506, 0.9998, 0.3688)  6 O 1.93-2.08
Ta (0.4503, 0.9994, 0.6322)  6 O 1.93-2.06
Ta (0.4494, 0.9998, 0.8688)  6 O 1.93-2.08
Ta (0.4063, 0.0080, 0.2493)  7 O 1.92-2.15
Ta (0.5937, 0.0080, 0.7493)  7 O 1.92-2.15
W (0.0502, 0.9691, 0.1324)  6 O 1.85-2.04
W (0.9498, 0.9691, 0.6324)  6 O 1.85-2.04
W (0.6585, 0.9700, 0.5596)  5 O 1.86-2.03
W (0.3415, 0.9700, 0.0596)  5 O 1.86-2.03
W (0.3432, 0.9699, 0.4401)  5 O 1.86-2.03
W (0.6568, 0.9699, 0.9401)  5 O 1.86-2.03
W (0.7230, 0.0462, 0.2494)  6 O 1.84-2.05
W (0.2770, 0.0462, 0.7494)  6 O 1.84-2.05
O (0.2527, 0.0006, 0.0049)  1 W 1.86
O (0.2537, 0.0005, 0.4944)  1 W 1.87, 1 Ta 2.08
O (0.7463, 0.0005, 0.9944)  1 W 1.87, 1 Ta 2.08
O (0.7473, 0.0006, 0.5049)  1 W 1.86
O (0.4392, 0.0012, 0.1302)  2 Ta 2.00-2.10, 1 W 2.14
O (0.4389, 0.0012, 0.3690)  2 Ta 2.02-2.11, 1 W 2.11
O (0.5608, 0.0012, 0.6302)  2 Ta 2.00-2.10, 1 W 2.14
O (0.5611, 0.0012, 0.8690)  2 Ta 2.02-2.11, 1 W 2.11
O (0.3122, 0.9989, 0.1725)  1 W 1.99, 2 Ta 2.10-2.15
O (0.6878, 0.9989, 0.6725)  1 W 1.99, 2 Ta 2.10-2.15
O (0.3118, 0.9986, 0.3258)  1 W 2.02, 2 Ta 2.04-2.15
O (0.6882, 0.9986, 0.8258)  1 W 2.02, 2 Ta 2.04-2.15
O (0.0193, 0.0012, 0.2477)  1 W 2.04, 2 Ta 2.08-2.15
O (0.9807, 0.0012, 0.7477)  1 W 2.04, 2 Ta 2.08-2.15
O (0.5886, 0.0003, 0.0221)  1 W 1.86, 1 Ta 1.99
O (0.5887, 0.0011, 0.4778)  1 W 1.88, 1 Ta 1.97
O (0.4114, 0.0003, 0.5221)  1 W 1.86, 1 Ta 1.99
O (0.4113, 0.0011, 0.9778)  1 W 1.88, 1 Ta 1.97
O (0.6544, 0.0073, 0.1685)  1 W 1.86, 1 Ta 2.00
O (0.6538, 0.0070, 0.3304)  1 W 1.87, 1 Ta 1.98
O (0.3456, 0.0073, 0.6685)  1 W 1.86, 1 Ta 2.00
O (0.3462, 0.0070, 0.8304)  1 W 1.87, 1 Ta 1.98
O (0.2731, 0.5184, 0.7498)  2 W 1.84-2.05
O (0.7269, 0.5184, 0.2498)  2 W 1.84-2.05
O (0.3424, 0.4922, 0.0636)  2 W 1.86-2.03
O (0.3427, 0.4922, 0.4350)  2 W 1.86-2.03
O (0.6576, 0.4922, 0.5636)  2 W 1.86-2.03
O (0.6573, 0.4922, 0.9350)  2 W 1.86-2.03
O (0.9545, 0.4936, 0.6309)  2 W 1.85-2.04
O (0.9559, 0.5003, 0.8688)  2 Ta 1.95
O (0.0455, 0.4936, 0.1309)  2 W 1.85-2.04
O (0.0441, 0.5003, 0.3688)  2 Ta 1.95
O (0.0975, 0.5026, 0.7498)  2 Ta 1.93-1.96
O (0.9025, 0.5026, 0.2498)  2 Ta 1.93-1.96
O (0.5965, 0.5027, 0.7498)  2 Ta 1.92-1.96
O (0.4035, 0.5027, 0.2498)  2 Ta 1.92-1.96
O (0.5494, 0.5024, 0.3726)  2 Ta 1.93-1.95
O (0.5501, 0.5022, 0.1268)  2 Ta 1.93-1.96
O (0.4499, 0.5022, 0.6268)  2 Ta 1.93-1.96
O (0.4506, 0.5024, 0.8726)  2 Ta 1.93-1.95
O (0.1673, 0.5041, 0.5616)  2 Ta 1.94-1.96
O (0.8327, 0.5041, 0.0616)  2 Ta 1.94-1.96
O (0.1635, 0.5051, 0.9437)  2 Ta 1.95-1.96
O (0.8365, 0.5051, 0.4437)  2 Ta 1.95-1.96
O (0.2269, 0.4928, 0.2450)  2 Ta 1.91-1.99
O (0.7731, 0.4928, 0.7450)  2 Ta 1.91-1.99
O (0.1471, 0.9956, 0.1681)  1 W 1.86, 1 Ta 1.97
O (0.1527, 0.9924, 0.3339)  2 Ta 1.89-1.92
O (0.8529, 0.9956, 0.6681)  1 W 1.86, 1 Ta 1.97
O (0.8473, 0.9924, 0.8339)  2 Ta 1.89-1.92
O (0.0803, 0.0069, 0.0256)  1 W 1.90, 1 Ta 1.98
O (0.0841, 0.0032, 0.4781)  2 Ta 1.89-1.93
O (0.9197, 0.0069, 0.5256)  1 W 1.90, 1 Ta 1.98
O (0.9159, 0.0032, 0.9781)  2 Ta 1.89-1.93
O (0.5216, 0.0024, 0.2497)  3 Ta 2.06-2.09
O (0.4784, 0.0024, 0.7497)  3 Ta 2.06-2.09
O (0.8106, 0.0045, 0.1772)  1 W 2.01, 2 Ta 2.10-2.11
O (0.1894, 0.0045, 0.6772)  1 W 2.01, 2 Ta 2.10-2.11
O (0.1915, 0.0052, 0.8257)  1 W 2.02, 2 Ta 2.04-2.16
O (0.8085, 0.0052, 0.3257)  1 W 2.02, 2 Ta 2.04-2.16
O (0.0610, 0.0035, 0.6303)  1 W 2.02, 2 Ta 2.10-2.13
O (0.9390, 0.0035, 0.1303)  1 W 2.02, 2 Ta 2.10-2.13
O (0.0634, 0.0017, 0.8691)  3 Ta 2.02-2.10
O (0.9366, 0.0017, 0.3691)  3 Ta 2.02-2.10

A relaxed structure of TbTlW2O8. Source: the Materials Project database, functional GGA+U.

**Crystal system**: monoclinic
**Mass density**: 8521 kg/m3
**Space-group type**: C2/c, No. 15
**ΔH_f (0 K)**: -2.507 eV per atom
**Spin magnetization**: 0.000 μB per cell

abc: 7.6511 7.6511 7.4978
angles: 62.43 62.43 88.56
With the nearest neighbours (Å) after each atom.
Positions (direct):
Tb (0.7758, 0.2242, 0.7500)  6 O 2.30-2.34
Tb (0.2242, 0.7758, 0.2500)  6 O 2.30-2.34
Tl (0.2057, 0.7943, 0.7500)  10 O 2.89-3.14
Tl (0.7943, 0.2057, 0.2500)  10 O 2.89-3.14
W (0.7004, 0.6899, 0.7814)  4 O 1.83-2.01
W (0.2996, 0.3101, 0.2186)  4 O 1.83-2.01
W (0.3101, 0.2996, 0.7186)  4 O 1.83-2.01
W (0.6899, 0.7004, 0.2814)  4 O 1.83-2.01
O (0.6203, 0.7539, 0.5592)  1 W 1.89
O (0.3797, 0.2461, 0.4408)  1 W 1.89
O (0.2461, 0.3797, 0.9408)  1 W 1.89
O (0.7539, 0.6203, 0.0592)  1 W 1.89
O (0.3764, 0.0632, 0.8751)  1 W 1.86
O (0.6236, 0.9368, 0.1249)  1 W 1.86
O (0.9368, 0.6236, 0.6249)  1 W 1.86
O (0.0632, 0.3764, 0.3751)  1 W 1.86
O (0.5893, 0.3701, 0.9675)  2 W 2.01-2.12
O (0.4107, 0.6299, 0.0325)  2 W 2.01-2.12
O (0.6299, 0.4107, 0.5325)  2 W 2.01-2.12
O (0.3701, 0.5893, 0.4675)  2 W 2.01-2.12
O (0.7836, 0.9546, 0.6898)  1 W 1.83
O (0.2164, 0.0454, 0.3102)  1 W 1.83
O (0.0454, 0.2164, 0.8102)  1 W 1.83
O (0.9546, 0.7836, 0.1898)  1 W 1.83

A relaxed structure of TbVO3. Source: the Materials Project database, functional GGA+U.

**Crystal system**: orthorhombic
**Mass density**: 7262 kg/m3
**Space-group type**: Pnma, No. 62
**ΔH_f (0 K)**: -3.292 eV per atom

abc: 5.3511 5.7507 7.6642
angles: 90.00 90.00 90.00
With the nearest neighbours (Å) after each atom.
Positions (direct):
Tb (0.5197, 0.5690, 0.7500)  4 O 2.26-2.34
Tb (0.9803, 0.0690, 0.7500)  4 O 2.26-2.34
Tb (0.4803, 0.4310, 0.2500)  4 O 2.26-2.34
Tb (0.0197, 0.9310, 0.2500)  4 O 2.26-2.34
V (0.0000, 0.5000, 0.0000)  6 O 2.01-2.12
V (0.5000, 0.0000, 0.5000)  6 O 2.01-2.12
V (0.0000, 0.5000, 0.5000)  6 O 2.01-2.12
V (0.5000, 0.0000, 0.0000)  6 O 2.01-2.12
O (0.6958, 0.3104, 0.9419)  2 V 2.01-2.12
O (0.3042, 0.6896, 0.4419)  2 V 2.01-2.12
O (0.8042, 0.8104, 0.5581)  2 V 2.01-2.12
O (0.1958, 0.1896, 0.4419)  2 V 2.01-2.12
O (0.6958, 0.3104, 0.5581)  2 V 2.01-2.12
O (0.8842, 0.5450, 0.2500)  2 V 2.03, 1 Tb 2.26
O (0.1958, 0.1896, 0.0581)  2 V 2.01-2.12
O (0.3842, 0.9550, 0.7500)  2 V 2.03, 1 Tb 2.26
O (0.8042, 0.8104, 0.9419)  2 V 2.01-2.12
O (0.6158, 0.0450, 0.2500)  2 V 2.03, 1 Tb 2.26
O (0.3042, 0.6896, 0.0581)  2 V 2.01-2.12
O (0.1158, 0.4550, 0.7500)  2 V 2.03, 1 Tb 2.26

A relaxed structure of TbV2O2. Source: the Materials Project database, functional GGA+U.

**Crystal system**: tetragonal
**Mass density**: 5629 kg/m3
**Space-group type**: I4_1/amd, No. 141
**ΔH_f (0 K)**: -1.254 eV per atom
**Spin magnetization**: 16.356 μB per cell

abc: 7.7074 7.7074 7.7074
angles: 114.36 114.36 100.09
With the nearest neighbours (Å) after each atom.
Positions (direct):
Tb (0.8750, 0.1250, 0.2500)  6 O 2.34-2.48
Tb (0.8750, 0.6250, 0.7500)  6 O 2.34-2.48
Tb (0.3750, 0.1250, 0.2500)  6 O 2.34-2.48
Tb (0.8750, 0.1250, 0.7500)  6 O 2.34-2.48
V (0.5102, 0.3034, 0.7933)  1 O 1.80
V (0.5102, 0.7169, 0.2067)  1 O 1.80
V (0.4669, 0.7602, 0.7067)  1 O 1.80
V (0.2398, 0.5331, 0.2933)  1 O 1.80
V (0.2398, 0.9466, 0.7067)  1 O 1.80
V (0.0534, 0.7602, 0.2933)  1 O 1.80
V (0.2831, 0.4898, 0.7933)  1 O 1.80
V (0.6966, 0.4898, 0.2067)  1 O 1.80
O (0.6517, 0.3090, 0.6573)  1 V 1.80
O (0.6517, 0.9944, 0.3427)  1 V 1.80
O (0.7444, 0.9017, 0.8427)  1 V 1.80
O (0.0983, 0.2556, 0.1573)  1 V 1.80
O (0.0983, 0.9410, 0.8427)  1 V 1.80
O (0.0590, 0.9017, 0.1573)  1 V 1.80
O (0.0056, 0.3483, 0.6573)  1 V 1.80
O (0.6910, 0.3483, 0.3427)  1 V 1.80